Record 1
# Zr4W | Materials Project | PBE | relaxed
data_Zr4W
_chemical_formula_sum 'Zr8 W2'
_cell_length_a 7.1143
_cell_length_b 7.1143
_cell_length_c 7.1143
_cell_angle_alpha 60.00
_cell_angle_beta 60.00
_cell_angle_gamma 60.00
_space_group_name_H-M_alt 'P 1'
_space_group_IT_number 1
loop_
_space_group_symop_operation_xyz
'x,y,z'
loop_
_atom_site_label
_atom_site_type_symbol
_atom_site_fract_x
_atom_site_fract_y
_atom_site_fract_z
_atom_site_occupancy
Zr1 Zr 0.3948 0.3948 0.3948 1
Zr2 Zr 0.3948 0.3948 0.8156 1
Zr3 Zr 0.3948 0.8156 0.3948 1
Zr4 Zr 0.8552 0.8552 0.4344 1
Zr5 Zr 0.8552 0.8552 0.8552 1
Zr6 Zr 0.8156 0.3948 0.3948 1
Zr7 Zr 0.8552 0.4344 0.8552 1
Zr8 Zr 0.4344 0.8552 0.8552 1
W1 W 0.0000 0.0000 0.0000 1
W2 W 0.2500 0.2500 0.2500 1
# size of the total moment = 0.0 μB per formula unit
# ΔH_f (0 K) = 1.07 eV per atom
# symmetry = No. 227
# electronic total energy = -0.6143 Ry per atom

Record 2
# ZrW2 | Materials Project | PBE | relaxed
data_ZrW2
_chemical_formula_sum 'Zr1 W2'
_cell_length_a 2.8729
_cell_length_b 2.8729
_cell_length_c 7.1595
_cell_angle_alpha 97.36
_cell_angle_beta 97.36
_cell_angle_gamma 111.18
_space_group_name_H-M_alt 'P 1'
_space_group_IT_number 1
loop_
_space_group_symop_operation_xyz
'x,y,z'
loop_
_atom_site_label
_atom_site_type_symbol
_atom_site_fract_x
_atom_site_fract_y
_atom_site_fract_z
_atom_site_occupancy
Zr1 Zr 0.0000 0.0000 0.0000 1
W1 W 0.6749 0.6749 0.3498 1
W2 W 0.3251 0.3251 0.6502 1
# size of the total moment = 0.0 μB per formula unit
# ΔH_f (0 K) = 0.12 eV per atom
# symmetry = No. 69
# electronic total energy = -0.8356 Ry per atom

Record 3
# ZrW2 | Materials Project | PBE | relaxed
data_ZrW2
_chemical_formula_sum 'Zr2 W4'
_cell_length_a 5.4222
_cell_length_b 5.4222
_cell_length_c 5.4222
_cell_angle_alpha 60.00
_cell_angle_beta 60.00
_cell_angle_gamma 60.00
_space_group_name_H-M_alt 'P 1'
_space_group_IT_number 1
loop_
_space_group_symop_operation_xyz
'x,y,z'
loop_
_atom_site_label
_atom_site_type_symbol
_atom_site_fract_x
_atom_site_fract_y
_atom_site_fract_z
_atom_site_occupancy
Zr1 Zr 0.2500 0.2500 0.2500 1
Zr2 Zr 0.5000 0.5000 0.5000 1
W1 W 0.8750 0.3750 0.8750 1
W2 W 0.3750 0.8750 0.8750 1
W3 W 0.8750 0.8750 0.3750 1
W4 W 0.8750 0.8750 0.8750 1
# ΔH_f (0 K) = -0.15 eV per atom
# symmetry = No. 227
# electronic total energy = -0.8551 Ry per atom

Record 4
# Xe | Materials Project | PBE | relaxed
data_Xe
_chemical_formula_sum 'Xe4'
_cell_length_a 9.4324
_cell_length_b 9.4324
_cell_length_c 5.0784
_cell_angle_alpha 90.00
_cell_angle_beta 90.00
_cell_angle_gamma 130.25
_space_group_name_H-M_alt 'P 1'
_space_group_IT_number 1
loop_
_space_group_symop_operation_xyz
'x,y,z'
loop_
_atom_site_label
_atom_site_type_symbol
_atom_site_fract_x
_atom_site_fract_y
_atom_site_fract_z
_atom_site_occupancy
Xe1 Xe 0.3669 0.6331 0.4855 1
Xe2 Xe 0.8669 0.1331 0.0145 1
Xe3 Xe 0.1331 0.8669 0.9855 1
Xe4 Xe 0.6331 0.3669 0.5145 1
# distance to the lowest polymorph of the same formula = 0.4 kJ/mol of atoms
# ΔH_f (0 K) = 0.00 eV per atom
# symmetry = No. 64
# electronic total energy = -0.0023 Ry per atom

Record 5
# Xe | Materials Project | PBE | relaxed
data_Xe
_chemical_formula_sum 'Xe1'
_cell_length_a 4.8503
_cell_length_b 4.8503
_cell_length_c 4.8503
_cell_angle_alpha 62.84
_cell_angle_beta 62.84
_cell_angle_gamma 62.84
_space_group_name_H-M_alt 'P 1'
_space_group_IT_number 1
loop_
_space_group_symop_operation_xyz
'x,y,z'
loop_
_atom_site_label
_atom_site_type_symbol
_atom_site_fract_x
_atom_site_fract_y
_atom_site_fract_z
_atom_site_occupancy
Xe1 Xe 0.0000 0.0000 0.0000 1
# distance to the lowest polymorph of the same formula = 0.0 kJ/mol of atoms
# size of the total moment = 0.0 μB per formula unit
# ΔH_f (0 K) = 0.00 eV per atom
# symmetry = No. 166
# electronic total energy = -0.0027 Ry per atom

Record 6
# Xe | Materials Project | PBE | relaxed
data_Xe
_chemical_formula_sum 'Xe1'
_cell_length_a 4.6975
_cell_length_b 4.6975
_cell_length_c 4.6975
_cell_angle_alpha 81.29
_cell_angle_beta 81.29
_cell_angle_gamma 81.29
_space_group_name_H-M_alt 'P 1'
_space_group_IT_number 1
loop_
_space_group_symop_operation_xyz
'x,y,z'
loop_
_atom_site_label
_atom_site_type_symbol
_atom_site_fract_x
_atom_site_fract_y
_atom_site_fract_z
_atom_site_occupancy
Xe1 Xe 0.5000 0.5000 0.5000 1
# distance to the lowest polymorph of the same formula = 0.6 kJ/mol of atoms
# ΔH_f (0 K) = 0.01 eV per atom
# symmetry = No. 166
# electronic total energy = -0.0022 Ry per atom

Record 7
# Xe | Materials Project | PBE | relaxed
data_Xe
_chemical_formula_sum 'Xe2'
_cell_length_a 4.9441
_cell_length_b 4.9441
_cell_length_c 7.8898
_cell_angle_alpha 90.00
_cell_angle_beta 90.00
_cell_angle_gamma 120.00
_space_group_name_H-M_alt 'P 1'
_space_group_IT_number 1
loop_
_space_group_symop_operation_xyz
'x,y,z'
loop_
_atom_site_label
_atom_site_type_symbol
_atom_site_fract_x
_atom_site_fract_y
_atom_site_fract_z
_atom_site_occupancy
Xe1 Xe 0.3333 0.6667 0.2500 1
Xe2 Xe 0.6667 0.3333 0.7500 1
# distance to the lowest polymorph of the same formula = 0.0 kJ/mol of atoms
# ΔH_f (0 K) = 0.00 eV per atom
# symmetry = No. 194
# electronic total energy = -0.0026 Ry per atom

Record 8
# Xe | Materials Project | PBE | relaxed
data_Xe
_chemical_formula_sum 'Xe4'
_cell_length_a 4.8366
_cell_length_b 4.8366
_cell_length_c 15.6428
_cell_angle_alpha 90.00
_cell_angle_beta 90.00
_cell_angle_gamma 120.00
_space_group_name_H-M_alt 'P 1'
_space_group_IT_number 1
loop_
_space_group_symop_operation_xyz
'x,y,z'
loop_
_atom_site_label
_atom_site_type_symbol
_atom_site_fract_x
_atom_site_fract_y
_atom_site_fract_z
_atom_site_occupancy
Xe1 Xe 0.0000 0.0000 0.0000 1
Xe2 Xe 0.3333 0.6667 0.2500 1
Xe3 Xe 0.0000 0.0000 0.5000 1
Xe4 Xe 0.6667 0.3333 0.7500 1
# distance to the lowest polymorph of the same formula = 0.1 kJ/mol of atoms
# ΔH_f (0 K) = 0.00 eV per atom
# symmetry = No. 194
# electronic total energy = -0.0025 Ry per atom

Record 9
# Xe | Materials Project | PBE | relaxed
data_Xe
_chemical_formula_sum 'Xe1'
_cell_length_a 5.1060
_cell_length_b 5.1060
_cell_length_c 5.1060
_cell_angle_alpha 109.47
_cell_angle_beta 109.47
_cell_angle_gamma 109.47
_space_group_name_H-M_alt 'P 1'
_space_group_IT_number 1
loop_
_space_group_symop_operation_xyz
'x,y,z'
loop_
_atom_site_label
_atom_site_type_symbol
_atom_site_fract_x
_atom_site_fract_y
_atom_site_fract_z
_atom_site_occupancy
Xe1 Xe 0.0000 0.0000 0.0000 1
# distance to the lowest polymorph of the same formula = 0.2 kJ/mol of atoms
# ΔH_f (0 K) = 0.00 eV per atom
# symmetry = No. 229
# electronic total energy = -0.0025 Ry per atom

Record 10
# Xe | Materials Project | PBE | relaxed
data_Xe
_chemical_formula_sum 'Xe1'
_cell_length_a 4.7104
_cell_length_b 4.7104
_cell_length_c 4.7104
_cell_angle_alpha 60.00
_cell_angle_beta 60.00
_cell_angle_gamma 60.00
_space_group_name_H-M_alt 'P 1'
_space_group_IT_number 1
loop_
_space_group_symop_operation_xyz
'x,y,z'
loop_
_atom_site_label
_atom_site_type_symbol
_atom_site_fract_x
_atom_site_fract_y
_atom_site_fract_z
_atom_site_occupancy
Xe1 Xe 0.0000 0.0000 0.0000 1
# distance to the lowest polymorph of the same formula = 0.6 kJ/mol of atoms
# ΔH_f (0 K) = 0.01 eV per atom
# symmetry = No. 225
# electronic total energy = -0.0022 Ry per atom

Question: What is the formula in the seventh record?
Answer: Xe